[1]
Na2Y3TaSi2S4O24: optimized geometry, GGA-PBE.

Space group = P1 (1)

a = 9.109 Å, b = 9.112 Å, c = 23.940 Å
α = 90.56°, β = 89.76°, γ = 119.96°
Element x y z (fractional)
Na 0.002 0.975 0.496
Na 0.996 0.956 0.996
Na 0.632 0.324 0.836
Na 0.707 0.345 0.329
Na 0.296 0.648 0.155
Na 0.326 0.646 0.676
Y 0.996 0.997 0.350
Y 0.015 0.002 0.854
Y 0.013 0.018 0.656
Y 0.999 0.000 0.144
Y 0.657 0.335 0.689
Y 0.686 0.342 0.186
Y 0.680 0.345 0.475
Y 0.332 0.675 0.019
Y 0.323 0.668 0.519
Ta 0.668 0.345 0.978
Ta 0.315 0.659 0.314
Ta 0.346 0.668 0.823
Si 0.998 0.292 0.252
Si 0.300 0.316 0.753
Si 0.959 0.629 0.082
Si 0.629 0.666 0.921
Si 0.348 0.969 0.919
Si 0.037 0.670 0.416
S 0.298 0.989 0.253
S 0.687 0.702 0.253
S 0.014 0.703 0.751
S 0.691 0.987 0.753
S 0.959 0.327 0.583
S 0.371 0.040 0.582
S 0.671 0.635 0.583
S 0.671 0.051 0.080
S 0.382 0.328 0.080
S 0.035 0.383 0.916
S 0.617 0.951 0.415
S 0.338 0.384 0.413
O 0.214 0.006 0.303
O 0.797 0.778 0.302
O 0.988 0.191 0.308
O 0.204 0.194 0.804
O 0.979 0.777 0.800
O 0.796 0.012 0.802
O 0.762 0.956 0.701
O 0.194 0.239 0.694
O 0.035 0.804 0.700
O 0.762 0.803 0.202
O 0.032 0.214 0.196
O 0.192 0.950 0.203
O 0.875 0.343 0.634
O 0.469 0.128 0.633
O 0.657 0.534 0.633
O 0.861 0.530 0.137
O 0.652 0.128 0.132
O 0.475 0.336 0.131
O 0.476 0.317 0.028
O 0.837 0.509 0.025
O 0.674 0.151 0.031
O 0.455 0.136 0.532
O 0.683 0.547 0.532
O 0.863 0.318 0.532
O 0.536 0.675 0.975
O 0.132 0.453 0.966
O 0.313 0.853 0.972
O 0.539 0.856 0.466
O 0.326 0.465 0.465
O 0.142 0.678 0.471
O 0.155 0.663 0.361
O 0.516 0.856 0.365
O 0.352 0.493 0.364
O 0.128 0.497 0.866
O 0.365 0.861 0.862
O 0.498 0.634 0.865
O 0.020 0.837 0.413
O 0.789 0.976 0.411
O 0.186 0.216 0.409
O 0.003 0.212 0.906
O 0.196 0.009 0.910
O 0.811 0.821 0.909
O 0.972 0.170 0.585
O 0.197 0.018 0.586
O 0.825 0.804 0.586
O 0.968 0.812 0.080
O 0.832 0.047 0.082
O 0.215 0.172 0.080
O 0.665 0.135 0.746
O 0.494 0.350 0.748
O 0.870 0.527 0.743
O 0.650 0.525 0.247
O 0.845 0.335 0.251
O 0.467 0.137 0.247
O 0.639 0.486 0.926
O 0.868 0.379 0.919
O 0.531 0.152 0.927
O 0.622 0.117 0.416
O 0.492 0.370 0.413
O 0.857 0.492 0.413
O 0.365 0.479 0.077
O 0.141 0.639 0.081
O 0.525 0.877 0.078
O 0.357 0.870 0.581
O 0.517 0.651 0.580
O 0.133 0.477 0.581
O 0.323 0.836 0.262
O 0.521 0.696 0.264
O 0.177 0.490 0.265
O 0.313 0.505 0.765
O 0.172 0.694 0.759
O 0.517 0.831 0.761

***

[2]
Na8Y3TaSi5SO24: optimized geometry, GGA-PBE.

Space group = P1 (1)

a = 9.459 Å, b = 9.442 Å, c = 23.162 Å
α = 89.97°, β = 90.24°, γ = 120.02°
Element x y z (fractional)
Na 0.613 0.998 0.252
Na 0.366 0.349 0.257
Na 0.018 0.651 0.248
Na 0.640 0.622 0.747
Na 0.005 0.368 0.738
Na 0.351 0.006 0.743
Na 0.299 0.343 0.580
Na 0.042 0.701 0.581
Na 0.661 0.959 0.576
Na 0.301 0.956 0.082
Na 0.657 0.701 0.076
Na 0.042 0.342 0.077
Na 0.969 0.677 0.915
Na 0.702 0.023 0.921
Na 0.323 0.295 0.914
Na 0.977 0.305 0.425
Na 0.332 0.026 0.419
Na 0.694 0.672 0.424
Na 0.999 0.001 0.502
Na 0.998 0.998 0.999
Na 0.665 0.347 0.832
Na 0.649 0.318 0.343
Na 0.331 0.681 0.158
Na 0.326 0.661 0.654
Y 0.010 0.001 0.354
Y 0.006 0.998 0.850
Y 0.016 0.005 0.646
Y 0.009 0.997 0.141
Y 0.667 0.340 0.681
Y 0.660 0.327 0.180
Y 0.332 0.666 0.016
Y 0.333 0.668 0.514
Y 0.331 0.674 0.326
Ta 0.665 0.333 0.981
Ta 0.667 0.334 0.485
Ta 0.320 0.656 0.822
Si 0.305 0.997 0.249
Si 0.303 0.311 0.754
Si 0.007 0.696 0.753
Si 0.960 0.331 0.584
Si 0.376 0.040 0.584
Si 0.667 0.631 0.583
Si 0.956 0.622 0.083
Si 0.669 0.041 0.082
Si 0.375 0.335 0.082
Si 0.626 0.661 0.918
Si 0.026 0.367 0.919
Si 0.342 0.967 0.918
Si 0.639 0.980 0.418
Si 0.343 0.367 0.417
Si 0.019 0.656 0.417
S 0.700 0.703 0.249
S 0.002 0.299 0.249
S 0.692 0.989 0.752
O 0.214 0.020 0.305
O 0.797 0.787 0.301
O 0.981 0.199 0.301
O 0.217 0.202 0.810
O 0.971 0.776 0.809
O 0.793 0.014 0.804
O 0.770 0.967 0.700
O 0.185 0.237 0.696
O 0.047 0.814 0.696
O 0.780 0.802 0.197
O 0.014 0.215 0.197
O 0.192 0.975 0.192
O 0.883 0.354 0.643
O 0.475 0.115 0.644
O 0.642 0.530 0.643
O 0.881 0.524 0.143
O 0.644 0.118 0.141
O 0.477 0.362 0.141
O 0.484 0.320 0.026
O 0.832 0.511 0.027
O 0.681 0.165 0.025
O 0.486 0.163 0.529
O 0.679 0.519 0.528
O 0.837 0.322 0.528
O 0.554 0.694 0.976
O 0.139 0.440 0.975
O 0.306 0.859 0.975
O 0.558 0.858 0.472
O 0.307 0.452 0.471
O 0.142 0.698 0.472
O 0.092 0.615 0.359
O 0.524 0.906 0.359
O 0.380 0.478 0.357
O 0.135 0.499 0.864
O 0.365 0.861 0.862
O 0.496 0.638 0.863
O 0.984 0.809 0.411
O 0.824 0.012 0.410
O 0.184 0.182 0.413
O 0.991 0.183 0.908
O 0.188 0.997 0.910
O 0.808 0.817 0.909
O 0.961 0.158 0.581
O 0.202 0.040 0.581
O 0.840 0.806 0.582
O 0.955 0.796 0.079
O 0.841 0.038 0.080
O 0.199 0.163 0.079
O 0.670 0.135 0.748
O 0.486 0.332 0.750
O 0.855 0.506 0.750
O 0.690 0.540 0.247
O 0.858 0.324 0.247
O 0.489 0.164 0.250
O 0.633 0.486 0.922
O 0.851 0.369 0.923
O 0.516 0.148 0.922
O 0.650 0.160 0.428
O 0.509 0.349 0.427
O 0.838 0.488 0.427
O 0.352 0.495 0.078
O 0.138 0.645 0.078
O 0.507 0.860 0.078
O 0.353 0.858 0.579
O 0.506 0.650 0.578
O 0.140 0.493 0.578
O 0.320 0.828 0.252
O 0.532 0.681 0.253
O 0.156 0.462 0.253
O 0.323 0.500 0.764
O 0.182 0.688 0.764
O 0.527 0.838 0.758

***

Short version: E (MP2020) = -7.765 -7.531 eV/atom, in the order given.
Short version: DFT formation energy = -2.76 -2.96 eV per atom, in the order given.
Short version: total energy = -789.1 -899.4 eV for the cell shown, in the order given.